[1]
VASP calculation (PBE-GGA) on a relaxed structure of LaGdAl4. Values from VASP.

Computed properties:
For the formation energy, the calculation gives -0.4982 eV/atom. The calculated total energy comes out at -37.0 eV for the cell shown. The crystal system is cubic.

The structure in Quantum ESPRESSO input format:
```
&SYSTEM
  ibrav = 0, nat = 6, ntyp = 3
/
ATOMIC_SPECIES
Al 26.98 Al.upf
Gd 157.25 Gd.upf
La 138.91 La.upf
ATOMIC_POSITIONS angstrom
Al -3.532 -2.144 5.112
Gd -1.528 -1.902 2.471
Al -3.819 -4.753 6.178
Al -3.539 -4.387 3.382
Al -1.332 -3.929 5.099
La 0.000 0.000 0.000
CELL_PARAMETERS angstrom
-0.573 -5.223 2.132
-0.561 -0.733 5.595
-4.977 -1.651 2.159
```

[2]
VASP calculation (PBE-GGA) on a relaxed structure of LiGd2Al. Values from VASP.

Computed properties:
For the formation energy, the calculation gives -0.2182 eV/atom. The calculated total energy comes out at -34.7 eV for the cell shown. The crystal system is cubic.

The structure in Quantum ESPRESSO input format:
```
&SYSTEM
  ibrav = 0, nat = 4, ntyp = 3
/
ATOMIC_SPECIES
Li 6.94 Li.upf
Gd 157.25 Gd.upf
Al 26.98 Al.upf
ATOMIC_POSITIONS angstrom
Li 0.000 0.000 0.000
Gd 1.838 1.838 1.838
Al 3.675 3.675 3.675
Gd 5.513 5.513 5.513
CELL_PARAMETERS angstrom
0.000 3.675 3.675
3.675 0.000 3.675
3.675 3.675 0.000
```

[3]
VASP calculation (PBE-GGA) on a relaxed structure of GdLuAl4. Values from VASP.

Computed properties:
For the formation energy, the calculation gives -0.4994 eV/atom. The calculated total energy comes out at -36.6 eV for the cell shown. The crystal system is cubic.

The structure in Quantum ESPRESSO input format:
```
&SYSTEM
  ibrav = 0, nat = 6, ntyp = 3
/
ATOMIC_SPECIES
Lu 174.97 Lu.upf
Al 26.98 Al.upf
Gd 157.25 Gd.upf
ATOMIC_POSITIONS angstrom
Lu 0.000 0.000 0.000
Al 4.893 2.935 2.935
Al 2.935 4.893 2.935
Al 2.935 2.935 4.893
Al 4.893 4.893 4.893
Gd 1.957 1.957 1.957
CELL_PARAMETERS angstrom
0.000 3.914 3.914
3.914 0.000 3.914
3.914 3.914 0.000
```

[4]
VASP calculation (PBE-GGA) on a relaxed structure of Gd2MgAl. Values from VASP.

Computed properties:
For the formation energy, the calculation gives -0.2725 eV/atom. The calculated total energy comes out at -34.6 eV for the cell shown. The crystal system is cubic.

The structure in Quantum ESPRESSO input format:
```
&SYSTEM
  ibrav = 0, nat = 4, ntyp = 3
/
ATOMIC_SPECIES
Gd 157.25 Gd.upf
Mg 24.30 Mg.upf
Al 26.98 Al.upf
ATOMIC_POSITIONS angstrom
Gd 5.573 5.573 5.573
Gd 1.858 1.858 1.858
Mg 0.000 0.000 0.000
Al 3.716 3.716 3.716
CELL_PARAMETERS angstrom
0.000 3.716 3.716
3.716 0.000 3.716
3.716 3.716 0.000
```

[5]
VASP calculation (PBE-GGA) on a relaxed structure of Gd8MgAlNi2. Values from VASP.

Computed properties:
For the formation energy, the calculation gives -0.2573 eV/atom. The calculated total energy comes out at -265.2 eV for the cell shown. The crystal system is triclinic.

The structure in Quantum ESPRESSO input format:
```
&SYSTEM
  ibrav = 0, nat = 24, ntyp = 4
/
ATOMIC_SPECIES
Gd 157.25 Gd.upf
Ni 58.69 Ni.upf
Mg 24.30 Mg.upf
Al 26.98 Al.upf
ATOMIC_POSITIONS angstrom
Gd 2.122 3.243 4.027
Gd 7.527 7.222 10.378
Gd 5.636 2.821 5.354
Gd -0.185 8.629 3.661
Gd 2.902 6.735 3.323
Gd 2.818 9.073 9.847
Ni 2.290 1.138 2.178
Ni 4.569 4.472 3.358
Mg 7.704 2.280 7.999
Mg 0.342 5.817 5.504
Ni 6.170 0.645 3.618
Gd 3.520 5.251 6.602
Gd 2.093 8.541 6.363
Gd 4.220 5.812 10.051
Al 6.540 5.029 7.790
Gd 4.296 2.446 8.701
Ni 3.157 1.769 6.201
Gd -0.328 1.962 1.657
Gd 5.429 8.082 7.597
Al -0.265 5.360 2.616
Gd 0.925 2.857 7.471
Gd 0.901 6.237 8.842
Gd 6.808 3.697 11.014
Gd -2.633 7.440 1.317
CELL_PARAMETERS angstrom
8.972 -1.157 3.325
-3.750 8.867 -0.605
1.979 1.476 9.316
```

[6]
VASP calculation (PBE-GGA) on a relaxed structure of Gd3MgAlS7. Values from VASP.

Computed properties:
For the formation energy, the calculation gives -2.0559 eV/atom. The calculated total energy comes out at -195.4 eV for the cell shown. The crystal system is hexagonal.

The structure in Quantum ESPRESSO input format:
```
&SYSTEM
  ibrav = 0, nat = 24, ntyp = 4
/
ATOMIC_SPECIES
S 32.06 S.upf
Gd 157.25 Gd.upf
Al 26.98 Al.upf
Mg 24.30 Mg.upf
ATOMIC_POSITIONS angstrom
S 5.048 -6.406 1.160
S 3.238 -4.040 3.079
S 4.887 -2.822 6.074
S 6.537 4.040 6.171
Gd 5.232 -5.247 4.743
Al 4.887 2.822 5.232
Gd 2.615 -1.908 4.743
S 4.887 2.822 2.982
Gd 6.815 -1.310 4.743
S 4.657 -0.784 3.079
Mg 0.000 0.000 5.871
S 7.911 -0.890 1.160
S 6.767 -3.641 3.079
S 3.008 3.641 6.171
S 4.726 6.406 4.251
S 1.864 0.890 4.251
S 5.117 0.784 6.171
S 1.703 -1.169 1.160
Al 4.887 -2.822 2.140
Gd 2.959 1.310 1.652
Mg 0.000 0.000 2.780
S 8.072 1.169 4.251
Gd 4.543 5.247 1.652
Gd 7.160 1.908 1.652
CELL_PARAMETERS angstrom
4.887 -8.465 0.000
4.887 8.465 0.000
0.000 0.000 6.183
```

[7]
VASP calculation (PBE-GGA) on a relaxed structure of Gd3MnAlS7. Values from VASP.

Computed properties:
For the formation energy, the calculation gives -1.9134 eV/atom. The calculated total energy comes out at -207.1 eV for the cell shown. The crystal system is hexagonal.

The structure in Quantum ESPRESSO input format:
```
&SYSTEM
  ibrav = 0, nat = 24, ntyp = 4
/
ATOMIC_SPECIES
S 32.06 S.upf
Gd 157.25 Gd.upf
Mn 54.94 Mn.upf
Al 26.98 Al.upf
ATOMIC_POSITIONS angstrom
S 1.661 1.246 1.863
S 6.516 -4.112 3.078
Gd 3.014 -1.216 1.451
S 5.169 6.462 1.863
Mn 0.000 0.000 0.205
S 6.819 3.587 0.026
Al 4.921 -2.841 4.036
S 3.326 4.112 0.026
Gd 7.282 -2.002 1.451
S 4.921 2.841 3.224
S 8.181 -1.246 4.914
S 5.224 -0.824 3.078
Gd 4.467 -5.306 1.451
S 4.672 -6.462 4.914
S 1.909 -0.815 4.914
Mn 0.000 0.000 3.257
Gd 5.375 5.306 4.503
Al 4.921 2.841 0.985
Gd 6.828 1.216 4.503
S 7.933 0.815 1.863
Gd 2.560 2.002 4.503
S 3.023 -3.587 3.078
S 4.921 -2.841 0.173
S 4.618 0.824 0.026
CELL_PARAMETERS angstrom
4.921 -8.523 0.000
4.921 8.523 0.000
0.000 0.000 6.103
```

[8]
VASP calculation (PBE-GGA) on a relaxed structure of GdAlNi. Values from VASP.

Computed properties:
For the formation energy, the calculation gives -0.5800 eV/atom. The calculated total energy comes out at -76.0 eV for the cell shown. The crystal system is orthorhombic.

The structure in Quantum ESPRESSO input format:
```
&SYSTEM
  ibrav = 0, nat = 9, ntyp = 3
/
ATOMIC_SPECIES
Al 26.98 Al.upf
Ni 58.69 Ni.upf
Gd 157.25 Gd.upf
ATOMIC_POSITIONS angstrom
Al -0.826 1.429 0.000
Ni -0.002 -0.004 -1.920
Ni -3.537 2.045 0.000
Gd -2.060 -3.568 -1.920
Gd -2.974 -0.002 -1.920
Al -5.445 -0.001 0.000
Gd -2.062 3.568 -1.920
Ni -3.556 -2.041 0.000
Al -0.824 -1.427 0.000
CELL_PARAMETERS angstrom
0.000 0.000 -3.840
-3.548 -6.145 0.000
-3.547 6.145 0.000
```

[9]
VASP calculation (PBE-GGA) on a relaxed structure of GdAl2Ni. Values from VASP.

Computed properties:
For the formation energy, the calculation gives -0.6209 eV/atom. The calculated total energy comes out at -59.7 eV for the cell shown. The crystal system is triclinic.

The structure in Quantum ESPRESSO input format:
```
&SYSTEM
  ibrav = 0, nat = 8, ntyp = 3
/
ATOMIC_SPECIES
Al 26.98 Al.upf
Ni 58.69 Ni.upf
Gd 157.25 Gd.upf
ATOMIC_POSITIONS angstrom
Al 0.009 3.532 6.477
Ni 2.068 2.955 5.130
Al 2.065 1.632 0.378
Gd 0.006 0.681 5.131
Gd 2.070 4.471 1.720
Ni 0.008 2.203 1.714
Al 0.006 3.539 3.808
Al 2.063 1.617 3.042
CELL_PARAMETERS angstrom
4.114 0.003 0.000
-2.053 5.081 0.014
0.001 0.020 6.856
```

Question: What is the calculated total energy in the second record?
Answer: -34.7 eV for the cell shown

Question: Among the records above, which one has the highest calculated total energy?
Answer: Gd2MgAl

Question: Number 1 is which compound?
Answer: LaGdAl4

Question: Among the records above, which one has the highest calculated total energy?
Answer: Gd2MgAl